{"formula": "ScTa3Si3S3O24", "functional": "PBE", "state": "relaxed", "formation_enthalpy_0k_ev_per_atom": -2.812, "energy_mp2020_ev_per_cell": -854.9, "cell": [[8.895, 0.000, 0.000], [4.442, 7.713, 0.000], [0.124, 0.214, 22.907]], "species": ["Sc", "Sc", "Sc", "Ta", "Ta", "Ta", "Ta", "Ta", "Ta", "Ta", "Ta", "Ta", "Si", "Si", "Si", "Si", "Si", "Si", "Si", "Si", "Si", "S", "S", "S", "S", "S", "S", "S", "S", "S", "O", "O", "O", "O", "O", "O", "O", "O", "O", "O", "O", "O", "O", "O", "O", "O", "O", "O", "O", "O", "O", "O", "O", "O", "O", "O", "O", "O", "O", "O", "O", "O", "O", "O", "O", "O", "O", "O", "O", "O", "O", "O", "O", "O", "O", "O", "O", "O", "O", "O", "O", "O", "O", "O", "O", "O", "O", "O", "O", "O", "O", "O", "O", "O", "O", "O", "O", "O", "O", "O", "O", "O"], "frac_coords": [[0.000, 0.000, 0.000], [0.013, 0.983, 0.490], [0.659, 0.664, 0.666], [0.005, 0.993, 0.280], [0.013, 0.976, 0.782], [0.323, 0.341, 0.328], [0.336, 0.325, 0.114], [0.341, 0.324, 0.618], [0.349, 0.309, 0.829], [0.665, 0.669, 0.953], [0.670, 0.649, 0.446], [0.688, 0.640, 0.163], [0.007, 0.267, 0.389], [0.051, 0.611, 0.221], [0.282, 0.706, 0.390], [0.287, 0.985, 0.890], [0.336, 0.604, 0.723], [0.617, 0.321, 0.222], [0.626, 0.033, 0.723], [0.668, 0.943, 0.058], [0.957, 0.366, 0.055], [0.002, 0.697, 0.889], [0.050, 0.319, 0.723], [0.337, 0.034, 0.222], [0.379, 0.944, 0.556], [0.383, 0.654, 0.057], [0.669, 0.366, 0.556], [0.711, 0.990, 0.389], [0.715, 0.276, 0.889], [0.954, 0.653, 0.556], [0.026, 0.800, 0.235], [0.027, 0.162, 0.448], [0.033, 0.161, 0.731], [0.033, 0.770, 0.940], [0.130, 0.490, 0.564], [0.133, 0.345, 0.775], [0.137, 0.486, 0.279], [0.142, 0.356, 0.068], [0.152, 0.522, 0.877], [0.160, 0.794, 0.733], [0.162, 0.286, 0.670], [0.168, 0.017, 0.945], [0.171, 0.779, 0.448], [0.172, 0.513, 0.166], [0.174, 0.290, 0.376], [0.176, 0.018, 0.230], [0.188, 0.963, 0.832], [0.193, 0.826, 0.332], [0.207, 0.966, 0.549], [0.212, 0.800, 0.048], [0.299, 0.512, 0.665], [0.302, 0.145, 0.170], [0.310, 0.155, 0.875], [0.318, 0.508, 0.379], [0.350, 0.486, 0.779], [0.361, 0.121, 0.565], [0.363, 0.111, 0.275], [0.371, 0.492, 0.062], [0.461, 0.836, 0.608], [0.464, 0.678, 0.109], [0.479, 0.681, 0.403], [0.482, 0.813, 0.898], [0.484, 0.859, 0.214], [0.492, 0.130, 0.068], [0.492, 0.863, 0.504], [0.495, 0.622, 0.003], [0.498, 0.132, 0.778], [0.499, 0.340, 0.279], [0.501, 0.622, 0.712], [0.502, 0.355, 0.563], [0.522, 0.162, 0.665], [0.525, 0.290, 0.165], [0.534, 0.134, 0.379], [0.534, 0.299, 0.879], [0.631, 0.495, 0.211], [0.631, 0.850, 0.000], [0.635, 0.481, 0.503], [0.646, 0.848, 0.713], [0.681, 0.819, 0.113], [0.690, 0.452, 0.896], [0.692, 0.446, 0.608], [0.693, 0.829, 0.400], [0.781, 0.168, 0.940], [0.783, 0.018, 0.442], [0.808, 0.026, 0.737], [0.809, 0.153, 0.235], [0.811, 0.192, 0.547], [0.820, 0.195, 0.836], [0.822, 0.952, 0.337], [0.832, 0.465, 0.112], [0.836, 0.467, 0.402], [0.836, 0.953, 0.045], [0.843, 0.679, 0.895], [0.850, 0.673, 0.608], [0.855, 0.494, 0.998], [0.858, 0.631, 0.214], [0.871, 0.625, 0.504], [0.880, 0.469, 0.714], [0.968, 0.182, 0.332], [0.969, 0.811, 0.835], [0.973, 0.183, 0.050], [0.976, 0.802, 0.548]]}

{"formula": "Sr4Nd3Ta2Al5O21", "functional": "PBE", "state": "relaxed", "formation_enthalpy_0k_ev_per_atom": -3.537, "energy_mp2020_ev_per_cell": -291.2, "cell": [[2.732, 1.578, 15.653], [-2.732, 1.578, 15.653], [0.000, -3.155, 15.653]], "species": ["Sr", "Sr", "Sr", "Sr", "Nd", "Nd", "Nd", "Ta", "Ta", "Al", "Al", "Al", "Al", "Al", "O", "O", "O", "O", "O", "O", "O", "O", "O", "O", "O", "O", "O", "O", "O", "O", "O", "O", "O", "O", "O"], "frac_coords": [[0.074, 0.074, 0.074], [0.357, 0.357, 0.357], [0.643, 0.643, 0.643], [0.926, 0.926, 0.926], [0.211, 0.211, 0.211], [0.500, 0.500, 0.500], [0.789, 0.789, 0.789], [0.285, 0.285, 0.285], [0.715, 0.715, 0.715], [0.000, 0.000, 0.000], [0.143, 0.143, 0.143], [0.431, 0.431, 0.431], [0.569, 0.569, 0.569], [0.857, 0.857, 0.857], [0.000, 0.000, 0.500], [0.000, 0.500, 0.000], [0.077, 0.572, 0.572], [0.140, 0.140, 0.648], [0.140, 0.648, 0.140], [0.218, 0.710, 0.710], [0.290, 0.290, 0.782], [0.290, 0.782, 0.290], [0.352, 0.860, 0.860], [0.428, 0.428, 0.923], [0.428, 0.923, 0.428], [0.500, 0.000, 0.000], [0.572, 0.077, 0.572], [0.572, 0.572, 0.077], [0.648, 0.140, 0.140], [0.710, 0.218, 0.710], [0.710, 0.710, 0.218], [0.782, 0.290, 0.290], [0.860, 0.352, 0.860], [0.860, 0.860, 0.352], [0.923, 0.428, 0.428]]}

{"formula": "GaAsO4", "functional": "PBE", "state": "relaxed", "formation_enthalpy_0k_ev_per_atom": -1.941, "piezo_max_c_m2": 0.65, "energy_mp2020_ev_per_cell": -117.4, "cell": [[5.112, 0.000, 0.000], [-2.556, 4.427, 0.000], [0.000, 0.000, 11.645]], "species": ["Ga", "Ga", "Ga", "As", "As", "As", "O", "O", "O", "O", "O", "O", "O", "O", "O", "O", "O", "O"], "frac_coords": [[0.000, 0.455, 0.167], [0.455, 0.000, 0.833], [0.545, 0.545, 0.500], [0.000, 0.454, 0.667], [0.454, 0.000, 0.333], [0.546, 0.546, 0.000], [0.086, 0.689, 0.783], [0.107, 0.708, 0.294], [0.292, 0.399, 0.627], [0.311, 0.397, 0.117], [0.397, 0.311, 0.883], [0.399, 0.292, 0.373], [0.601, 0.893, 0.960], [0.603, 0.914, 0.450], [0.689, 0.086, 0.217], [0.708, 0.107, 0.706], [0.893, 0.601, 0.040], [0.914, 0.603, 0.550]]}

{"formula": "Na14Zn4Si7Sn4S5O48", "functional": "PBE", "state": "relaxed", "formation_enthalpy_0k_ev_per_atom": -2.307, "energy_mp2020_ev_per_cell": -1574.8, "cell": [[9.159, 0.000, 0.000], [-0.029, 15.803, 0.000], [-0.048, -0.389, 22.347]], "species": ["Na", "Na", "Na", "Na", "Na", "Na", "Na", "Na", "Na", "Na", "Na", "Na", "Na", "Na", "Na", "Na", "Na", "Na", "Na", "Na", "Na", "Na", "Na", "Na", "Na", "Na", "Na", "Na", "Na", "Na", "Na", "Na", "Na", "Na", "Na", "Na", "Na", "Na", "Na", "Na", "Na", "Na", "Zn", "Zn", "Zn", "Zn", "Zn", "Zn", "Zn", "Zn", "Zn", "Zn", "Zn", "Zn", "Si", "Si", "Si", "Si", "Si", "Si", "Si", "Si", "Si", "Si", "Si", "Si", "Si", "Si", "Si", "Si", "Si", "Si", "Si", "Si", "Si", "Sn", "Sn", "Sn", "Sn", "Sn", "Sn", "Sn", "Sn", "Sn", "Sn", "Sn", "Sn", "S", "S", "S", "S", "S", "S", "S", "S", "S", "S", "S", "S", "S", "S", "S", "O", "O", "O", "O", "O", "O", "O", "O", "O", "O", "O", "O", "O", "O", "O", "O", "O", "O", "O", "O", "O", "O", "O", "O", "O", "O", "O", "O", "O", "O", "O", "O", "O", "O", "O", "O", "O", "O", "O", "O", "O", "O", "O", "O", "O", "O", "O", "O", "O", "O", "O", "O", "O", "O", "O", "O", "O", "O", "O", "O", "O", "O", "O", "O", "O", "O", "O", "O", "O", "O", "O", "O", "O", "O", "O", "O", "O", "O", "O", "O", "O", "O", "O", "O", "O", "O", "O", "O", "O", "O", "O", "O", "O", "O", "O", "O", "O", "O", "O", "O", "O", "O", "O", "O", "O", "O", "O", "O", "O", "O", "O", "O", "O", "O", "O", "O", "O", "O", "O", "O", "O", "O", "O", "O", "O", "O", "O", "O", "O", "O", "O", "O", "O", "O", "O", "O", "O", "O", "O", "O", "O", "O", "O", "O"], "frac_coords": [[0.000, 0.000, 0.000], [0.000, 0.035, 0.335], [0.005, 0.338, 0.667], [0.036, 0.354, 0.332], [0.039, 0.693, 0.986], [0.062, 0.020, 0.654], [0.171, 0.865, 0.583], [0.175, 0.518, 0.911], [0.175, 0.862, 0.073], [0.180, 0.192, 0.248], [0.183, 0.527, 0.423], [0.186, 0.197, 0.742], [0.296, 0.022, 0.163], [0.321, 0.356, 0.827], [0.322, 0.688, 0.501], [0.351, 0.007, 0.505], [0.362, 0.040, 0.831], [0.364, 0.381, 0.502], [0.367, 0.339, 0.159], [0.374, 0.708, 0.173], [0.481, 0.214, 0.673], [0.495, 0.837, 0.659], [0.497, 0.881, 0.991], [0.498, 0.540, 0.337], [0.509, 0.505, 0.999], [0.536, 0.856, 0.337], [0.537, 0.189, 0.995], [0.551, 0.515, 0.661], [0.674, 0.364, 0.581], [0.678, 0.029, 0.919], [0.679, 0.687, 0.746], [0.681, 0.689, 0.247], [0.687, 0.020, 0.416], [0.691, 0.366, 0.081], [0.802, 0.518, 0.155], [0.826, 0.197, 0.492], [0.830, 0.852, 0.826], [0.859, 0.532, 0.828], [0.861, 0.500, 0.505], [0.869, 0.834, 0.163], [0.873, 0.215, 0.169], [0.990, 0.713, 0.669], [0.164, 0.855, 0.933], [0.171, 0.856, 0.727], [0.176, 0.856, 0.256], [0.181, 0.191, 0.598], [0.189, 0.198, 0.089], [0.203, 0.511, 0.561], [0.667, 0.358, 0.742], [0.668, 0.019, 0.057], [0.671, 0.697, 0.591], [0.687, 0.680, 0.091], [0.693, 0.358, 0.229], [0.694, 0.355, 0.435], [0.028, 0.040, 0.501], [0.033, 0.372, 0.166], [0.034, 0.339, 0.501], [0.040, 0.712, 0.830], [0.319, 0.042, 0.999], [0.325, 0.009, 0.329], [0.325, 0.706, 0.330], [0.337, 0.374, 0.663], [0.339, 0.340, 0.999], [0.381, 0.023, 0.665], [0.482, 0.526, 0.164], [0.524, 0.841, 0.498], [0.533, 0.510, 0.831], [0.537, 0.204, 0.831], [0.539, 0.542, 0.498], [0.823, 0.837, 0.003], [0.825, 0.214, 0.331], [0.829, 0.872, 0.666], [0.836, 0.537, 0.000], [0.884, 0.851, 0.326], [0.970, 0.351, 0.826], [0.166, 0.187, 0.399], [0.179, 0.511, 0.062], [0.179, 0.860, 0.429], [0.183, 0.519, 0.770], [0.187, 0.197, 0.896], [0.189, 0.524, 0.264], [0.673, 0.697, 0.398], [0.675, 0.024, 0.764], [0.680, 0.025, 0.273], [0.680, 0.359, 0.928], [0.684, 0.011, 0.562], [0.698, 0.687, 0.898], [0.028, 0.008, 0.831], [0.039, 0.671, 0.163], [0.325, 0.667, 0.664], [0.384, 0.356, 0.330], [0.388, 0.690, 0.001], [0.474, 0.189, 0.499], [0.479, 0.856, 0.832], [0.531, 0.878, 0.164], [0.536, 0.165, 0.164], [0.824, 0.169, 0.663], [0.834, 0.509, 0.330], [0.887, 0.191, 0.999], [0.891, 0.525, 0.662], [0.968, 0.023, 0.163], [0.974, 0.692, 0.498], [0.001, 0.845, 0.997], [0.006, 0.864, 0.667], [0.010, 0.204, 0.333], [0.018, 0.540, 0.003], [0.049, 0.096, 0.438], [0.052, 0.957, 0.885], [0.055, 0.440, 0.112], [0.060, 0.100, 0.165], [0.060, 0.771, 0.772], [0.061, 0.945, 0.164], [0.063, 0.277, 0.557], [0.066, 0.615, 0.500], [0.066, 0.617, 0.217], [0.071, 0.768, 0.492], [0.077, 0.438, 0.827], [0.083, 0.269, 0.834], [0.093, 0.094, 0.837], [0.093, 0.611, 0.823], [0.095, 0.970, 0.777], [0.100, 0.628, 0.108], [0.103, 0.946, 0.492], [0.104, 0.435, 0.500], [0.104, 0.750, 0.892], [0.107, 0.417, 0.228], [0.111, 0.080, 0.558], [0.112, 0.754, 0.167], [0.115, 0.280, 0.161], [0.119, 0.298, 0.438], [0.240, 0.083, 0.059], [0.247, 0.971, 0.269], [0.252, 0.608, 0.329], [0.253, 0.104, 0.339], [0.253, 0.282, 0.661], [0.254, 0.419, 0.723], [0.256, 0.945, 0.990], [0.257, 0.751, 0.390], [0.262, 0.630, 0.608], [0.264, 0.299, 0.938], [0.264, 0.754, 0.670], [0.275, 0.438, 0.998], [0.278, 0.106, 0.663], [0.284, 0.436, 0.329], [0.285, 0.280, 0.332], [0.286, 0.101, 0.939], [0.289, 0.614, 0.003], [0.289, 0.615, 0.717], [0.291, 0.934, 0.669], [0.298, 0.768, 0.995], [0.306, 0.947, 0.387], [0.308, 0.762, 0.270], [0.316, 0.287, 0.059], [0.320, 0.434, 0.605], [0.343, 0.845, 0.493], [0.354, 0.515, 0.828], [0.355, 0.189, 0.835], [0.360, 0.543, 0.498], [0.370, 0.870, 0.167], [0.372, 0.514, 0.105], [0.374, 0.170, 0.163], [0.378, 0.172, 0.445], [0.378, 0.546, 0.224], [0.389, 0.198, 0.554], [0.389, 0.868, 0.886], [0.393, 0.851, 0.776], [0.468, 0.351, 0.274], [0.473, 0.701, 0.057], [0.474, 0.368, 0.384], [0.483, 0.041, 0.726], [0.485, 0.675, 0.948], [0.488, 0.671, 0.663], [0.490, 0.011, 0.605], [0.500, 0.040, 0.001], [0.506, 0.012, 0.325], [0.506, 0.692, 0.334], [0.516, 0.365, 0.670], [0.520, 0.345, 0.994], [0.549, 0.786, 0.557], [0.554, 0.260, 0.773], [0.554, 0.450, 0.891], [0.562, 0.267, 0.493], [0.564, 0.929, 0.111], [0.569, 0.111, 0.217], [0.573, 0.113, 0.501], [0.573, 0.438, 0.169], [0.574, 0.599, 0.436], [0.577, 0.780, 0.834], [0.579, 0.935, 0.831], [0.583, 0.612, 0.161], [0.587, 0.939, 0.498], [0.596, 0.920, 0.220], [0.597, 0.802, 0.436], [0.600, 0.126, 0.109], [0.600, 0.251, 0.170], [0.601, 0.793, 0.163], [0.602, 0.246, 0.894], [0.603, 0.446, 0.489], [0.606, 0.605, 0.840], [0.610, 0.106, 0.830], [0.617, 0.474, 0.772], [0.623, 0.584, 0.556], [0.738, 0.795, 0.942], [0.746, 0.780, 0.661], [0.754, 0.252, 0.667], [0.754, 0.933, 0.002], [0.755, 0.916, 0.729], [0.756, 0.572, 0.059], [0.757, 0.127, 0.608], [0.759, 0.253, 0.392], [0.760, 0.443, 0.991], [0.767, 0.472, 0.275], [0.770, 0.596, 0.336], [0.771, 0.112, 0.326], [0.774, 0.769, 0.335], [0.776, 0.936, 0.325], [0.791, 0.266, 0.994], [0.791, 0.780, 0.062], [0.794, 0.113, 0.000], [0.794, 0.601, 0.663], [0.795, 0.114, 0.717], [0.801, 0.268, 0.270], [0.803, 0.446, 0.663], [0.806, 0.940, 0.612], [0.809, 0.457, 0.383], [0.812, 0.599, 0.941], [0.845, 0.041, 0.503], [0.854, 0.704, 0.834], [0.856, 0.347, 0.496], [0.856, 0.364, 0.167], [0.864, 0.013, 0.826], [0.869, 0.372, 0.885], [0.872, 0.017, 0.110], [0.876, 0.030, 0.219], [0.877, 0.680, 0.444], [0.878, 0.679, 0.162], [0.880, 0.340, 0.764], [0.890, 0.705, 0.554], [0.967, 0.838, 0.263], [0.970, 0.202, 0.055], [0.982, 0.536, 0.719], [0.984, 0.174, 0.661], [0.985, 0.178, 0.946], [0.985, 0.522, 0.609], [0.994, 0.875, 0.382], [0.999, 0.514, 0.325]]}